Sr2ZnWO6 (GGA+U, optimized geometry); E (MP2020) = -7.393 eV/atom; crystal system = cubic
1.0
0.0000 4.0355 4.0355
4.0355 0.0000 4.0355
4.0355 4.0355 0.0000
Sr Zn W O
2 1 1 6
Direct
0.2500 0.2500 0.2500
0.7500 0.7500 0.7500
0.0000 0.0000 0.0000
0.5000 0.5000 0.5000
0.2590 0.2590 0.7410
0.2590 0.7410 0.2590
0.2590 0.7410 0.7410
0.7410 0.2590 0.2590
0.7410 0.2590 0.7410
0.7410 0.7410 0.2590

---

Ca2MnFeSi4H5O15 (GGA+U, optimized geometry); E (MP2020) = -6.983 eV/atom; crystal system = triclinic; E above lowest polymorph = 388.7 meV/atom
1.0
8.5598 0.0000 0.0000
3.9252 8.8300 0.0000
2.1131 3.0694 9.1007
Ca Mn Fe Si H O
4 2 2 8 10 30
Direct
0.1672 0.4808 0.0948
0.2940 0.8684 0.9878
0.7060 0.1316 0.0122
0.8328 0.5192 0.9052
0.0008 0.2742 0.7080
0.9992 0.7258 0.2920
0.2113 0.9525 0.6050
0.7887 0.0475 0.3950
0.2002 0.9277 0.2965
0.2052 0.4045 0.5212
0.2392 0.5659 0.7292
0.4420 0.0659 0.6813
0.5580 0.9341 0.3187
0.7608 0.4341 0.2708
0.7948 0.5955 0.4788
0.7998 0.0723 0.7035
0.0126 0.1871 0.0021
0.3429 0.6521 0.3546
0.3963 0.0168 0.1247
0.4210 0.4770 0.7596
0.4449 0.1681 0.4064
0.5551 0.8319 0.5936
0.5790 0.5230 0.2404
0.6037 0.9832 0.8753
0.6571 0.3479 0.6454
0.9874 0.8129 0.9979
0.0264 0.9075 0.3944
0.0803 0.7569 0.0662
0.1091 0.5068 0.8613
0.1624 0.4867 0.3490
0.1906 0.0422 0.1279
0.1999 0.7552 0.6955
0.2266 0.0769 0.7338
0.2272 0.5386 0.5728
0.3076 0.7484 0.2699
0.3152 0.9630 0.3907
0.3897 0.2445 0.5456
0.4394 0.3182 0.0390
0.4633 0.9007 0.6456
0.4794 0.0308 0.8514
0.4890 0.4130 0.0824
0.5110 0.5870 0.9176
0.5206 0.9692 0.1486
0.5367 0.0993 0.3544
0.5606 0.6818 0.9610
0.6103 0.7555 0.4544
0.6848 0.0370 0.6093
0.6924 0.2516 0.7301
0.7728 0.4614 0.4272
0.7734 0.9231 0.2662
0.8001 0.2448 0.3045
0.8094 0.9578 0.8721
0.8376 0.5133 0.6510
0.8909 0.4932 0.1387
0.9197 0.2431 0.9338
0.9736 0.0925 0.6056

---

NaCoPH10CO10 (GGA+U, optimized geometry); E (MP2020) = -5.978 eV/atom; crystal system = monoclinic
1.0
8.3670 0.0000 0.0000
0.0000 11.8902 0.0000
-2.8792 0.0000 9.5351
Na Co P H C O
4 4 4 40 4 40
Direct
0.0091 0.1321 0.0420
0.0091 0.3679 0.5420
0.9909 0.6321 0.4580
0.9909 0.8679 0.9580
0.4203 0.1442 0.3073
0.4203 0.3558 0.8073
0.5797 0.6442 0.1927
0.5797 0.8558 0.6927
0.4942 0.1137 0.6584
0.4942 0.3863 0.1584
0.5058 0.6137 0.8416
0.5058 0.8863 0.3416
0.0310 0.0408 0.7650
0.0310 0.4592 0.2650
0.0364 0.1343 0.5038
0.0364 0.3657 0.0038
0.1038 0.2090 0.3285
0.1038 0.2910 0.8285
0.1345 0.6551 0.1137
0.1345 0.8449 0.6137
0.1578 0.5413 0.7324
0.1578 0.9587 0.2324
0.1772 0.2061 0.7333
0.1772 0.2939 0.2333
0.3201 0.6175 0.3932
0.3201 0.8825 0.8932
0.3334 0.0482 0.0336
0.3334 0.4518 0.5336
0.3613 0.6427 0.5565
0.3613 0.8573 0.0565
0.3744 0.1841 0.0333
0.3744 0.3159 0.5333
0.6256 0.6841 0.4667
0.6256 0.8159 0.9667
0.6387 0.1427 0.9435
0.6387 0.3573 0.4435
0.6666 0.5482 0.4664
0.6666 0.9518 0.9664
0.6799 0.1175 0.1068
0.6799 0.3825 0.6068
0.8228 0.7061 0.7667
0.8228 0.7939 0.2667
0.8422 0.0413 0.7676
0.8422 0.4587 0.2676
0.8655 0.1551 0.3863
0.8655 0.3449 0.8863
0.8962 0.7090 0.1715
0.8962 0.7910 0.6715
0.9636 0.6343 0.9962
0.9636 0.8657 0.4962
0.9690 0.5408 0.7350
0.9690 0.9592 0.2350
0.3098 0.0254 0.6632
0.3098 0.4746 0.1632
0.6902 0.5254 0.8368
0.6902 0.9746 0.3368
0.0232 0.6885 0.0687
0.0232 0.8115 0.5687
0.0401 0.5384 0.6717
0.0401 0.9616 0.1717
0.1714 0.2139 0.2605
0.1714 0.2861 0.7605
0.1727 0.0732 0.6599
0.1727 0.4268 0.1599
0.2889 0.5975 0.4773
0.2889 0.9025 0.9773
0.3287 0.1223 0.0785
0.3287 0.3777 0.5785
0.3317 0.5811 0.1761
0.3317 0.9189 0.6761
0.3641 0.5270 0.8198
0.3641 0.9730 0.3198
0.4529 0.1780 0.5187
0.4529 0.3220 0.0187
0.4816 0.6959 0.7172
0.4816 0.8041 0.2172
0.5184 0.1959 0.7828
0.5184 0.3041 0.2828
0.5471 0.6780 0.9813
0.5471 0.8220 0.4813
0.6359 0.0270 0.6802
0.6359 0.4730 0.1802
0.6683 0.0811 0.3239
0.6683 0.4189 0.8239
0.6713 0.6223 0.4215
0.6713 0.8777 0.9215
0.7111 0.0975 0.0227
0.7111 0.4025 0.5227
0.8273 0.5732 0.8401
0.8273 0.9268 0.3401
0.8286 0.7139 0.2395
0.8286 0.7861 0.7395
0.9599 0.0384 0.8283
0.9599 0.4616 0.3283
0.9768 0.1885 0.4313
0.9768 0.3115 0.9313

---

K2Sm2MgMo4O16 (GGA+U, optimized geometry); E (MP2020) = -7.897 eV/atom; crystal system = triclinic; E above lowest polymorph = 26.1 meV/atom
1.0
7.5939 0.0000 0.0000
3.5756 6.8806 0.0000
3.5923 -1.7473 6.6937
K Sm Mg Mo O
2 2 1 4 16
Direct
0.0000 0.0000 0.0000
0.4990 0.3187 0.6857
0.5002 0.8712 0.1272
0.9983 0.3461 0.6598
0.9983 0.7358 0.2683
0.0294 0.8083 0.6094
0.4681 0.4108 0.1877
0.5297 0.8153 0.5912
0.9689 0.3923 0.1944
0.0570 0.3266 0.9296
0.1178 0.1728 0.2730
0.2195 0.4648 0.1096
0.2201 0.4832 0.4665
0.2447 0.7523 0.2933
0.3155 0.7359 0.6364
0.3784 0.0406 0.5187
0.4332 0.8898 0.8520
0.5656 0.1487 0.1115
0.6177 0.4875 0.9654
0.6833 0.3641 0.2658
0.7522 0.7108 0.2510
0.7782 0.8935 0.5384
0.7790 0.5344 0.5181
0.8826 0.7252 0.8261
0.9402 0.0742 0.6767

---

Fe3S2O15 (GGA+U, optimized geometry); E (MP2020) = -6.422 eV/atom; crystal system = trigonal
1.0
3.5838 2.0691 5.6194
-3.5838 2.0691 5.6194
0.0000 -4.1382 5.6194
Fe S O
3 2 15
Direct
0.0036 0.4982 0.4982
0.4982 0.0036 0.4982
0.4982 0.4982 0.0036
0.1872 0.1872 0.1872
0.8115 0.8115 0.8115
0.0095 0.6678 0.6678
0.1006 0.1006 0.1006
0.2387 0.2387 0.6076
0.2387 0.6076 0.2387
0.3307 0.3307 0.9894
0.3307 0.9894 0.3307
0.4123 0.7461 0.7461
0.4521 0.4521 0.4521
0.6076 0.2387 0.2387
0.6678 0.0095 0.6678
0.6678 0.6678 0.0095
0.7461 0.4123 0.7461
0.7461 0.7461 0.4123
0.8978 0.8978 0.8978
0.9894 0.3307 0.3307

---

V4Cu13O26F4 (GGA+U, optimized geometry); E (MP2020) = -6.174 eV/atom; crystal system = triclinic
1.0
5.6415 0.0000 0.0000
-1.2116 10.3640 0.0000
-2.5226 -3.6723 10.0411
V Cu O F
4 13 26 4
Direct
0.0077 0.3010 0.1561
0.2397 0.6967 0.3471
0.7603 0.3033 0.6529
0.9923 0.6990 0.8439
0.0000 0.0000 0.5000
0.0000 0.5000 0.5000
0.1378 0.9822 0.7837
0.2481 0.4997 0.0017
0.2932 0.0087 0.0835
0.3703 0.4959 0.7501
0.4523 0.9768 0.3298
0.5000 0.5000 0.5000
0.5477 0.0232 0.6702
0.6297 0.5041 0.2499
0.7068 0.9913 0.9165
0.7519 0.5003 0.9983
0.8622 0.0178 0.2163
0.0069 0.6072 0.9619
0.0517 0.3438 0.7497
0.0739 0.8897 0.9080
0.1464 0.9447 0.1983
0.1730 0.6316 0.7434
0.2265 0.0656 0.6637
0.2585 0.6096 0.4708
0.2646 0.4238 0.5643
0.2951 0.3448 0.2554
0.3300 0.8786 0.4254
0.4201 0.6342 0.2425
0.4349 0.9197 0.7624
0.4828 0.5747 0.9366
0.5172 0.4253 0.0634
0.5651 0.0803 0.2376
0.5799 0.3658 0.7575
0.6700 0.1214 0.5746
0.7049 0.6552 0.7446
0.7354 0.5762 0.4357
0.7415 0.3904 0.5292
0.7735 0.9344 0.3363
0.8270 0.3684 0.2566
0.8536 0.0553 0.8017
0.9261 0.1103 0.0920
0.9483 0.6562 0.2503
0.9931 0.3928 0.0381
0.1422 0.1340 0.4493
0.4109 0.1205 0.9972
0.5891 0.8795 0.0028
0.8578 0.8660 0.5507

---

LiV2F7 (GGA+U, optimized geometry); E (MP2020) = -6.497 eV/atom; crystal system = monoclinic; E above lowest polymorph = 54.2 meV/atom
1.0
6.9693 -3.6600 0.0000
6.9693 3.6600 0.0000
-1.4696 0.0000 5.0142
Li V F
2 4 14
Direct
0.0202 0.9798 0.7500
0.9798 0.0202 0.2500
0.1514 0.5137 0.2583
0.4863 0.8486 0.2417
0.5137 0.1514 0.7583
0.8486 0.4863 0.7417
0.0000 0.5000 0.5000
0.0824 0.3117 0.0083
0.1139 0.7775 0.4454
0.2225 0.8861 0.0546
0.3117 0.0824 0.5083
0.3489 0.4118 0.0092
0.4118 0.3489 0.5092
0.5000 0.0000 0.0000
0.5882 0.6511 0.4908
0.6511 0.5882 0.9908
0.6883 0.9176 0.4917
0.7775 0.1139 0.9454
0.8861 0.2225 0.5546
0.9176 0.6883 0.9917

---

MnOF (GGA+U, optimized geometry); E (MP2020) = -7.652 eV/atom; crystal system = monoclinic
1.0
4.6192 0.0000 0.0000
0.0000 10.2685 0.0000
-4.2498 0.0000 5.6737
Mn O F
8 8 8
Direct
0.0000 0.0100 0.0000
0.0000 0.9900 0.5000
0.2407 0.2489 0.7929
0.2407 0.7511 0.2929
0.2438 0.2524 0.2934
0.2438 0.7476 0.7934
0.9151 0.4870 0.4848
0.9151 0.5130 0.9848
0.0144 0.0830 0.2613
0.0144 0.9170 0.7613
0.1793 0.3297 0.5248
0.1793 0.6703 0.0248
0.2383 0.1715 0.0355
0.2383 0.8285 0.5355
0.4003 0.4212 0.2559
0.4003 0.5788 0.7559
0.4770 0.0984 0.7640
0.4770 0.9016 0.2640
0.7188 0.3511 0.0241
0.7188 0.6489 0.5241
0.7692 0.1469 0.5293
0.7692 0.8531 0.0293
0.9288 0.3943 0.7549
0.9288 0.6057 0.2549

---

Bi17W3O34 (GGA+U, optimized geometry); E (MP2020) = -6.811 eV/atom; crystal system = triclinic; E above lowest polymorph = 0.0 meV/atom
1.0
10.2740 0.0000 0.0000
-4.1021 9.5682 0.0000
-2.9010 -4.6722 8.8486
Bi W O
17 3 34
Direct
0.0000 0.0000 0.0000
0.0257 0.3337 0.8724
0.1607 0.0474 0.7055
0.2063 0.3988 0.5717
0.2477 0.7459 0.4990
0.3336 0.0919 0.4112
0.4065 0.7995 0.1933
0.4641 0.1409 0.0783
0.4923 0.4741 0.9464
0.5700 0.8452 0.8595
0.6589 0.5397 0.6817
0.7197 0.9035 0.6000
0.7491 0.2248 0.4694
0.7957 0.5871 0.3576
0.8637 0.9401 0.2812
0.8920 0.2850 0.1591
0.9654 0.6564 0.1025
0.0682 0.6591 0.7772
0.3336 0.4324 0.2860
0.6180 0.2181 0.7953
0.0488 0.9394 0.2122
0.0916 0.2640 0.1158
0.1598 0.8769 0.8527
0.1723 0.6559 0.9602
0.2130 0.6575 0.6949
0.2264 0.5137 0.3898
0.2394 0.2833 0.7220
0.2723 0.8087 0.3151
0.3182 0.3189 0.4178
0.3321 0.5476 0.1751
0.3718 0.2865 0.1608
0.4022 0.0539 0.6362
0.4314 0.0468 0.2527
0.4861 0.2525 0.9235
0.4998 0.8214 0.6291
0.5010 0.5864 0.7878
0.5440 0.5805 0.4244
0.6025 0.2644 0.5848
0.6293 0.4220 0.8327
0.6524 0.1179 0.9279
0.6543 0.9592 0.3965
0.7004 0.3172 0.2604
0.7517 0.6383 0.1352
0.7543 0.8304 0.7981
0.7589 0.1485 0.7185
0.8167 0.0099 0.0762
0.8739 0.3862 0.9809
0.8948 0.5901 0.5858
0.9048 0.6521 0.8572
0.9644 0.1993 0.4043
0.9658 0.8887 0.4759
0.9763 0.4081 0.6916
0.9801 0.5822 0.3013
0.9963 0.0807 0.7915

---

Li5Fe7O3F13 (GGA+U, optimized geometry); E (MP2020) = -6.382 eV/atom; crystal system = monoclinic; E above lowest polymorph = 0.2 meV/atom
1.0
5.3318 -3.1315 0.0000
5.3318 3.1315 0.0000
-3.5772 0.0000 10.1775
Li Fe O F
5 7 3 13
Direct
0.0000 0.0000 0.0000
0.1263 0.1263 0.4069
0.5060 0.5060 0.5063
0.5729 0.5729 0.2096
0.6367 0.6367 0.9072
0.0663 0.5857 0.2136
0.0682 0.0682 0.7059
0.0680 0.5715 0.7048
0.3236 0.3236 0.9595
0.5715 0.0680 0.7048
0.5857 0.0663 0.2136
0.8233 0.8233 0.4465
0.2062 0.2062 0.6177
0.9282 0.9282 0.3240
0.9314 0.9314 0.7976
0.1974 0.6885 0.5747
0.2057 0.6732 0.0776
0.2080 0.2080 0.0912
0.4419 0.4419 0.3130
0.4467 0.4467 0.8415
0.4466 0.9543 0.8458
0.4511 0.9304 0.3255
0.6732 0.2057 0.0776
0.6885 0.1974 0.5747
0.6919 0.6919 0.0953
0.7002 0.7002 0.5639
0.9304 0.4511 0.3255
0.9543 0.4466 0.8458

---

| no. | volume (A^3/atom) |
| --- | --- |
| 1 | 13.14 |
| 2 | 12.28 |
| 3 | 9.88 |
| 4 | 13.99 |
| 5 | 12.50 |
| 6 | 12.49 |
| 7 | 12.79 |
| 8 | 11.21 |
| 9 | 16.11 |
| 10 | 12.14 |